Record 1
## BaAlH5 (r2SCAN)

Data for BaAlH5 after structural relaxation.

Unit cell a=5.1020 b=7.0613 c=9.2317 alpha=90.00 beta=90.00 gamma=90.00
Fractional positions:
Ba 0.2541 0.3450 0.1865
Ba 0.7541 0.6550 0.8135
Ba 0.7541 0.8450 0.3135
Ba 0.2541 0.1550 0.6865
Al 0.2288 0.6532 0.5402
Al 0.7288 0.3468 0.4598
Al 0.7288 0.1532 0.9598
Al 0.2288 0.8468 0.0402
H 0.9105 0.5507 0.5069
H 0.4105 0.4493 0.4931
H 0.4105 0.0507 0.9931
H 0.9105 0.9493 0.0069
H 0.0252 0.6582 0.0826
H 0.5252 0.3418 0.9174
H 0.5252 0.1582 0.4174
H 0.0252 0.8418 0.5826
H 0.5003 0.7134 0.0774
H 0.0003 0.2866 0.9226
H 0.0003 0.2134 0.4226
H 0.5003 0.7866 0.5774
H 0.2335 0.8055 0.8596
H 0.7335 0.1945 0.1404
H 0.7335 0.3055 0.6404
H 0.2335 0.6945 0.3596
H 0.2144 0.9548 0.2049
H 0.7144 0.0452 0.7951
H 0.7144 0.4548 0.2951
H 0.2144 0.5452 0.7049

Computed properties:
Formation energy in eV per atom: -0.422
V in Å³ per atom: 11.88

Record 2
## Ce2Ga12Pd (r2SCAN)

Data for Ce2Ga12Pd after structural relaxation.

Unit cell a=6.0919 b=6.0919 c=15.4396 alpha=90.00 beta=90.00 gamma=90.00
Fractional positions:
Ce 0.0000 0.5000 0.2460
Ce 0.5000 0.0000 0.2460
Ce 0.0000 0.5000 0.7541
Ce 0.5000 0.0000 0.7541
Ga 0.0000 0.0000 0.3431
Ga 0.2496 0.2504 0.9117
Ga 0.3261 0.1739 0.5707
Ga 0.2497 0.7497 0.0883
Ga 0.6739 0.8261 0.5707
Ga 0.0000 0.0000 0.8153
Ga 0.3261 0.8261 0.4295
Ga 0.0000 0.0000 0.1847
Ga 0.5000 0.5000 0.3431
Ga 0.2504 0.2496 0.0883
Ga 0.7496 0.7504 0.0883
Ga 0.0000 0.0000 0.6569
Ga 0.8261 0.6739 0.4295
Ga 0.8261 0.3261 0.5707
Ga 0.5000 0.5000 0.1847
Ga 0.2505 0.7505 0.9117
Ga 0.5000 0.5000 0.6569
Ga 0.7504 0.7496 0.9117
Ga 0.6739 0.1739 0.4295
Ga 0.1739 0.3261 0.4295
Ga 0.5000 0.5000 0.8153
Ga 0.7495 0.2495 0.9117
Ga 0.7503 0.2503 0.0883
Ga 0.1739 0.6739 0.5707
Pd 0.0000 0.5000 0.9999
Pd 0.5000 0.0000 0.0000

Computed properties:
Formation energy in eV per atom: -0.467
V in Å³ per atom: 19.10

Record 3
## PrAlGe (r2SCAN)

Data for PrAlGe after structural relaxation.

Unit cell a=4.3009 b=4.3009 c=7.9491 alpha=105.70 beta=105.70 gamma=90.00
Fractional positions:
Pr 0.3334 0.8334 0.6668
Pr 0.5834 0.5834 0.1668
Al 0.9172 0.4172 0.8344
Al 0.1672 0.1672 0.3344
Ge 0.0009 0.0009 0.0018
Ge 0.7509 0.2509 0.5018

Computed properties:
Formation energy in eV per atom: -0.776
V in Å³ per atom: 22.64